Entry 1:
A relaxed structure of LiNb5O8. Source: Materials Project, functional PBE.

```
LiNb5O8
1.0
-3.691 5.444 -7.224
1.484 -6.065 -5.329
-8.171 -6.255 -0.539
Nb O Li
20 32 4
Cartesian
-2.460 -6.673 -5.250
-7.918 -0.203 -7.841
-6.412 2.100 -6.420
-7.566 -8.297 -7.515
-9.733 -2.157 -5.192
-2.813 1.421 -5.576
-2.058 -2.769 -6.068
-2.533 -2.448 -2.143
-6.501 -2.286 -9.863
-3.966 -8.976 -6.672
-3.878 -4.590 -3.229
-2.804 -2.710 -8.808
-1.548 -0.437 -7.896
-7.574 -4.166 -4.283
-8.830 -6.439 -5.195
-5.177 -7.322 -4.447
-7.846 -4.428 -10.948
-5.201 0.446 -8.645
-8.321 -4.107 -7.024
-0.646 -4.720 -7.900
-10.149 -4.531 -7.983
-8.714 -6.215 -10.153
-3.363 -0.710 -8.766
-1.665 -0.661 -2.939
-2.415 -0.651 -5.862
-0.664 -3.330 -2.214
-5.745 -7.911 -6.414
-4.229 -5.601 -5.209
-5.723 -0.376 -10.571
-3.318 3.422 -5.374
-3.808 -3.104 -7.044
-1.613 -4.853 -6.052
-8.766 -2.024 -7.040
-8.070 -2.137 -4.022
-7.549 0.509 -5.929
-2.952 -3.005 -4.100
-4.633 1.035 -6.678
-6.571 -3.772 -6.048
-0.229 -2.345 -5.108
-7.427 -3.871 -8.992
-6.150 -1.276 -7.883
-7.015 -6.166 -4.325
-4.622 -3.097 -9.871
-8.200 -5.203 -12.873
-7.963 -6.225 -7.230
-4.656 -6.500 -2.521
-2.830 -7.385 -7.162
-2.179 -1.673 -0.219
-9.714 -3.546 -10.877
-5.757 -3.779 -3.221
-2.308 -4.739 -9.069
-7.061 -10.298 -7.717
-5.454 -2.235 -6.412
-10.877 -3.389 -9.300
0.499 -3.487 -3.791
-4.925 -4.641 -6.679
```

space-group type: P2_1/c

=====

Entry 2:
A relaxed structure of Cd2S. Source: Materials Project, functional PBE.

```
Cd2S
1.0
-1.177 2.565 -2.782
-2.680 -2.152 1.972
-0.395 4.176 4.019
Cd S
2 1
Cartesian
-2.548 3.316 4.136
-1.907 3.410 1.129
-2.324 0.948 1.857
```

space-group type: P3m1

=====

Entry 3:
A relaxed structure of Nd3TiCl5O4. Source: Materials Project, functional PBE.

```
Nd3TiCl5O4
1.0
4.046 0.000 0.000
0.000 14.624 0.000
0.000 0.000 16.739
Cl Nd O Ti
20 12 16 4
Cartesian
1.011 11.469 8.726
3.034 13.785 7.465
3.034 4.157 16.383
1.011 8.779 13.353
3.034 10.611 11.372
3.034 1.467 11.756
3.034 11.324 3.002
3.034 5.845 3.386
1.011 0.838 9.274
1.011 10.467 0.356
3.034 3.155 8.013
3.034 8.726 8.095
3.034 8.150 15.834
3.034 13.210 16.465
1.011 13.157 4.983
1.011 1.414 0.274
1.011 4.012 5.367
1.011 5.898 8.644
1.011 6.474 0.905
1.011 3.300 13.737
3.034 8.545 2.020
3.034 1.185 14.723
3.034 11.132 6.199
1.011 8.497 10.386
1.011 1.233 6.350
1.011 13.439 2.016
1.011 6.079 14.719
3.034 6.127 6.353
1.011 3.820 2.171
1.011 3.491 10.540
3.034 10.803 14.568
3.034 13.391 10.389
3.034 1.315 5.340
3.034 13.286 13.251
3.034 2.921 2.577
1.011 11.703 14.162
3.034 14.346 2.535
1.011 7.034 5.835
1.011 5.974 11.858
1.011 1.338 3.488
1.011 13.308 11.399
1.011 10.233 5.792
3.034 5.997 13.710
1.011 8.627 3.029
3.034 7.590 10.904
3.034 4.391 10.947
1.011 0.278 14.204
3.034 8.650 4.881
1.011 13.314 13.246
1.011 8.622 4.876
3.034 6.002 11.863
3.034 1.310 3.493
```

space-group type: Pnma

=====

Entry 4:
A relaxed structure of TaTl2AgS4. Source: Materials Project, functional PBE.

```
TaTl2AgS4
1.0
10.620 0.000 0.000
0.000 8.127 0.000
0.000 7.947 10.294
S Tl Ag Ta
16 8 4 4
Cartesian
8.128 7.776 8.810
9.756 6.002 5.816
0.865 10.072 4.478
2.818 12.272 6.631
0.752 13.490 9.943
8.607 7.632 2.209
2.013 8.442 8.085
4.559 9.516 4.796
6.175 2.028 0.669
7.324 11.606 7.356
6.062 6.558 5.498
3.297 4.468 2.938
9.869 2.584 0.351
2.492 8.298 1.484
7.802 3.802 3.663
4.445 14.046 9.625
5.254 7.161 2.322
7.743 4.925 0.027
0.056 11.134 7.469
2.433 7.176 5.120
2.877 11.149 10.267
8.187 8.898 5.174
5.366 8.914 7.972
10.564 4.940 2.825
5.181 13.062 7.329
10.491 6.986 8.112
0.129 9.088 2.182
5.439 3.012 2.965
2.913 11.109 4.668
2.397 15.083 9.815
8.223 0.991 0.479
7.707 4.965 5.626
```

space-group type: P2_1/c

=====

Entry 5:
A relaxed structure of U3Cu. Source: Materials Project, functional PBE.

```
U3Cu
1.0
-2.327 2.327 3.365
2.327 -2.327 3.365
2.327 2.327 -3.365
U Cu
3 1
Cartesian
2.327 0.000 1.682
0.000 0.000 3.365
0.000 2.327 1.682
0.000 0.000 0.000
```

space-group type: I4/mmm

=====

Entry 6:
A relaxed structure of RbPH2O4. Source: Materials Project, functional PBE.

```
RbPH2O4
1.0
6.328 0.000 0.000
0.000 9.673 0.000
0.000 4.687 14.778
P O Rb H
8 32 8 16
Cartesian
4.688 4.008 1.894
1.684 5.489 12.870
4.804 6.352 9.283
1.640 10.351 12.884
4.643 8.870 1.908
4.848 11.214 9.297
1.524 8.008 5.495
1.479 3.146 5.481
1.220 11.649 13.542
1.570 11.763 6.661
6.189 6.364 9.934
2.072 6.808 13.512
5.801 11.706 10.394
3.691 9.363 3.005
1.594 14.106 14.050
2.976 3.189 4.909
3.351 11.170 9.869
5.236 9.895 8.656
4.716 7.464 8.150
0.138 7.995 4.844
1.091 4.464 6.123
0.527 2.653 4.384
0.187 5.532 12.299
4.734 0.253 0.728
4.758 2.596 8.117
3.302 4.021 2.545
6.140 8.827 2.480
4.255 7.552 1.266
0.538 9.879 11.821
3.702 6.823 10.346
1.611 6.895 6.628
2.637 4.996 11.773
1.552 9.239 14.017
3.026 10.339 12.233
5.789 4.480 2.957
4.383 5.053 8.625
1.944 9.306 6.153
2.626 7.536 4.432
4.775 5.121 0.761
5.108 2.710 1.236
4.831 8.033 13.055
1.496 6.326 1.723
4.694 12.808 13.032
4.797 10.465 5.642
1.634 1.551 1.747
1.668 8.670 9.112
1.530 3.894 9.136
4.660 5.690 5.666
1.472 13.122 13.782
0.085 5.862 11.318
1.423 5.921 6.360
3.249 10.841 10.850
4.905 8.438 8.418
4.636 3.581 8.386
4.856 1.237 0.997
6.186 3.713 3.549
0.141 10.647 11.229
1.741 8.264 13.749
3.022 8.303 3.840
6.243 8.497 3.461
3.305 6.056 10.938
3.079 3.519 3.929
1.692 10.779 6.393
4.587 6.095 1.029
```

space-group type: P2_1/c

=====

Entry 7:
A relaxed structure of Cs2UP2O9. Source: Materials Project, functional PBE.

```
Cs2UP2O9
1.0
-1.066 -3.094 -5.426
2.958 -11.031 5.709
-12.399 -1.595 3.344
O U Cs P
36 4 8 8
Cartesian
-3.126 -4.894 -1.985
-1.447 -9.034 3.425
-5.697 -9.148 -0.445
-0.450 -3.617 -3.392
-2.660 -4.513 1.085
-10.796 -3.589 3.499
-7.360 -9.794 5.020
-8.840 -10.881 7.273
-9.738 -7.683 4.480
-10.123 -8.554 0.180
-0.225 -6.459 1.914
-7.389 -7.413 -1.055
-4.993 -7.104 -1.701
-1.243 -9.663 -0.931
-8.573 -5.273 2.680
-6.294 -1.073 1.189
1.163 -9.595 4.576
-5.336 -5.791 2.492
-5.687 -11.303 6.847
-9.613 -5.729 -0.235
-5.561 -2.948 -2.814
-8.447 -3.319 -2.036
-1.826 -7.487 -2.058
-1.585 -10.775 5.741
-0.089 -0.259 -0.454
-8.062 -2.448 2.264
1.812 -12.050 0.973
-1.380 -11.404 1.385
-9.540 -10.730 1.306
-4.640 -8.388 3.837
-0.793 -2.303 0.801
-7.867 -12.239 3.134
-3.990 -10.843 0.234
-3.960 -1.921 1.158
-6.387 -11.152 0.881
0.509 -8.334 -2.089
-8.560 -3.954 3.935
-0.881 -8.672 5.118
-7.081 -9.469 6.790
-2.360 -3.156 2.263
-7.461 -8.187 2.326
1.482 -9.007 1.200
-10.724 -2.815 0.118
-6.213 -4.335 -0.064
-2.710 -1.784 -2.043
-4.309 -11.432 3.609
0.427 -5.072 -0.836
-3.076 -7.623 1.144
1.557 -12.767 -0.316
-4.384 -7.671 5.126
-5.088 -5.046 3.767
0.017 -5.730 3.199
-0.698 -4.361 -4.667
-5.803 -3.678 -4.099
-9.476 -6.950 5.759
-8.709 -4.051 -3.315
```

space-group type: Pmmn

=====

Entry 8:
A relaxed structure of K2LiEuCl6. Source: Materials Project, functional PBE.

```
K2LiEuCl6
1.0
0.000 5.249 5.249
5.249 0.000 5.249
5.249 5.249 0.000
Cl K Li Eu
6 2 1 1
Cartesian
5.249 2.698 5.249
7.799 5.249 5.249
5.249 7.799 5.249
5.249 5.249 2.698
5.249 5.249 7.799
2.698 5.249 5.249
2.624 2.624 2.624
7.873 7.873 7.873
5.249 5.249 5.249
0.000 0.000 0.000
```

space-group type: Fm-3m

=====

Entry 9:
A relaxed structure of Ba9LiSi10CCl7O28. Source: Materials Project, functional PBE.

```
Ba9LiSi10CCl7O28
1.0
-0.390 -4.193 8.593
10.891 -4.125 -1.519
6.695 14.888 7.569
Cl Li Ba O Si C
14 2 18 56 20 2
Cartesian
14.797 5.089 8.982
11.155 6.469 9.490
8.937 12.085 8.558
2.399 1.480 5.660
5.322 2.754 7.979
8.259 -5.515 6.085
6.041 0.101 5.152
11.874 3.816 6.664
10.811 0.160 8.970
3.003 -2.404 5.357
4.358 2.276 2.362
6.385 6.410 5.672
14.193 8.973 9.286
12.838 4.294 12.280
7.564 8.204 9.252
9.632 -1.635 5.390
11.976 3.021 9.556
6.322 11.446 10.128
4.111 -0.377 7.798
10.874 -4.877 4.514
8.342 1.096 7.314
6.415 -3.188 5.136
13.085 6.946 6.844
4.396 7.162 7.951
13.851 7.191 11.675
12.800 -0.593 6.692
12.120 -0.259 0.483
5.076 6.829 14.159
5.220 3.548 5.087
7.560 1.468 1.119
3.345 -0.621 2.967
10.781 9.758 9.507
8.854 5.474 7.329
9.636 5.101 13.523
11.703 7.219 13.761
7.554 1.879 10.508
9.753 2.882 11.556
15.624 8.009 6.389
5.382 5.443 11.369
14.037 1.493 8.292
9.194 3.328 8.968
14.269 10.369 6.037
5.361 -2.630 2.690
16.634 10.345 7.211
8.515 -1.956 7.009
11.835 9.200 11.953
9.023 -2.693 3.899
9.752 -0.340 2.737
9.642 4.691 4.134
7.443 3.688 3.086
5.493 -0.649 0.882
7.444 6.910 11.905
9.485 -3.206 8.610
7.711 9.776 6.032
6.581 9.321 7.926
7.710 -1.592 1.760
12.832 11.785 7.741
8.173 9.263 10.743
10.172 -2.525 1.417
10.626 6.740 5.543
3.230 5.284 3.674
1.280 0.947 1.469
2.927 -3.799 8.605
9.352 2.059 3.617
0.518 -0.796 3.365
5.355 -2.872 7.726
7.024 9.094 13.226
9.486 8.162 12.882
10.615 -2.751 6.716
0.562 -3.775 7.432
15.916 5.623 13.173
11.814 1.127 3.273
10.310 0.168 5.354
7.844 4.510 11.026
13.966 1.286 10.968
14.409 5.307 5.016
3.159 5.076 6.350
5.110 1.054 11.072
6.886 6.401 9.288
8.002 3.242 5.675
3.752 3.319 11.038
8.681 8.525 7.633
11.841 9.442 6.917
2.787 1.262 9.627
13.444 3.251 3.604
1.572 -1.440 8.253
6.570 -0.171 9.099
12.086 5.515 3.570
4.364 -5.215 6.902
16.678 7.365 11.278
6.170 -2.074 1.424
13.572 4.863 3.721
10.628 5.978 4.131
1.499 -3.020 8.518
3.624 1.707 10.922
13.356 1.633 3.559
10.886 -3.860 0.767
3.840 4.937 11.084
6.568 0.592 10.511
8.556 3.151 10.426
15.697 9.590 6.124
4.442 -4.135 8.108
10.320 0.746 3.862
6.310 10.429 13.876
9.142 -1.874 2.530
6.876 5.824 10.781
12.754 10.705 6.535
11.026 8.643 13.218
8.640 3.419 4.216
8.054 8.444 12.113
9.538 -2.640 7.450
7.658 9.210 7.193
```

space-group type: Pmmn

=====

no.,energy of formation from the pure elements (kJ per mole of atoms)
1,-249
2,-35
3,-289
4,-84
5,17
6,-211
7,-290
8,-217
9,-301